Entry 1:
Compound: Mn4O7F
Source: the Materials Project
Functional: GGA+U
Structure: optimized geometry

```
Mn4O7F
1.0
5.482 4.457 0.000
-5.482 4.457 0.000
0.000 0.034 4.957
Mn O F
8 14 2
Direct
0.570 0.434 0.730
0.928 0.073 0.256
0.066 0.421 0.766
0.421 0.066 0.266
0.581 0.915 0.747
0.915 0.581 0.247
0.434 0.570 0.230
0.073 0.928 0.756
0.939 0.328 0.087
0.828 0.440 0.578
0.327 0.438 0.910
0.940 0.832 0.431
0.832 0.940 0.931
0.438 0.327 0.410
0.672 0.063 0.426
0.440 0.828 0.078
0.328 0.939 0.587
0.665 0.562 0.055
0.562 0.665 0.555
0.063 0.173 0.586
0.173 0.063 0.086
0.063 0.672 0.926
0.560 0.183 0.928
0.183 0.560 0.428
```

Results
E_tot ... -83.9 eV/f.u.
E above lowest polymorph ... 4 meV/atom
Total moment ... 26.00 Bohr magnetons per cell
E (MP2020) ... -7.986 eV/atom

Entry 2:
Compound: Li9Mn2Co5O16
Source: the Materials Project
Functional: GGA+U
Structure: optimized geometry

```
Li9Mn2Co5O16
1.0
1.458 10.581 0.000
-1.458 10.581 0.000
0.000 2.983 9.330
Li Mn Co O
9 2 5 16
Direct
0.684 0.684 0.572
0.557 0.557 0.176
0.443 0.443 0.824
0.060 0.060 0.693
0.940 0.940 0.307
0.817 0.817 0.936
0.316 0.316 0.428
0.183 0.183 0.064
0.000 0.000 0.000
0.249 0.249 0.752
0.751 0.751 0.248
0.123 0.123 0.376
0.877 0.877 0.624
0.614 0.614 0.880
0.500 0.500 0.500
0.386 0.386 0.120
0.778 0.778 0.611
0.661 0.661 0.231
0.537 0.537 0.840
0.163 0.163 0.728
0.032 0.032 0.353
0.902 0.902 0.977
0.404 0.404 0.482
0.276 0.276 0.112
0.596 0.596 0.518
0.463 0.463 0.160
0.339 0.339 0.769
0.968 0.968 0.647
0.837 0.837 0.272
0.724 0.724 0.888
0.222 0.222 0.389
0.098 0.098 0.023
```

Results
E_tot ... -184.8 eV/f.u.
E above lowest polymorph ... 79 meV/atom
Total moment ... 10.00 Bohr magnetons per cell
E (MP2020) ... -6.479 eV/atom

Entry 3:
Compound: Li4TiNi3O8
Source: the Materials Project
Functional: GGA+U
Structure: optimized geometry

```
Li4TiNi3O8
1.0
-2.883 5.067 -0.062
-2.874 -1.743 4.806
5.927 3.412 4.888
Li Ti Ni O
8 2 6 16
Direct
0.995 0.001 0.500
0.505 0.499 0.000
0.249 0.750 0.750
0.751 0.251 0.250
0.252 0.249 0.250
0.749 0.751 0.750
0.000 0.500 0.001
0.501 0.001 0.499
0.997 0.000 0.000
0.500 0.501 0.500
0.751 0.250 0.749
0.750 0.750 0.250
0.503 0.000 0.000
0.250 0.750 0.250
0.251 0.249 0.750
0.995 0.500 0.500
0.986 0.519 0.271
0.507 0.018 0.770
0.514 0.981 0.230
0.994 0.481 0.730
0.269 0.257 0.495
0.770 0.753 0.001
0.231 0.243 0.005
0.729 0.747 0.499
0.246 0.724 0.506
0.748 0.228 0.001
0.253 0.776 0.994
0.752 0.272 0.499
0.980 0.018 0.761
0.513 0.517 0.261
0.521 0.481 0.739
0.987 0.984 0.240
```

Results
E_tot ... -91.3 eV/f.u.
E above lowest polymorph ... 2 meV/atom
Total moment ... 8.00 Bohr magnetons per cell
E (MP2020) ... -6.525 eV/atom

Entry 4:
Compound: V5BiO10
Source: the Materials Project
Functional: GGA+U
Structure: optimized geometry

```
V5BiO10
1.0
0.744 -9.355 4.559
-10.301 -1.536 0.628
4.852 2.364 -8.930
V Bi O
20 4 40
Direct
0.740 0.928 0.474
0.874 0.350 0.817
0.928 0.454 0.188
0.734 0.260 0.188
0.057 0.874 0.525
0.851 0.669 0.520
0.149 0.331 0.480
0.350 0.532 0.475
0.943 0.126 0.475
0.072 0.546 0.812
0.266 0.740 0.812
0.126 0.650 0.183
0.532 0.057 0.183
0.331 0.851 0.182
0.260 0.072 0.526
0.454 0.266 0.526
0.546 0.734 0.474
0.669 0.149 0.818
0.468 0.943 0.817
0.650 0.468 0.525
0.112 0.112 0.000
0.888 0.888 0.000
0.682 0.682 0.000
0.318 0.318 0.000
0.848 0.889 0.343
0.865 0.156 0.622
0.889 0.546 0.041
0.702 0.050 0.961
0.911 0.258 0.961
0.941 0.642 0.377
0.735 0.436 0.377
0.742 0.702 0.653
0.950 0.911 0.653
0.954 0.333 0.288
0.156 0.534 0.291
0.757 0.135 0.291
0.844 0.466 0.709
0.046 0.667 0.712
0.243 0.865 0.709
0.050 0.089 0.347
0.258 0.298 0.347
0.059 0.358 0.623
0.265 0.564 0.623
0.298 0.950 0.039
0.089 0.742 0.039
0.111 0.454 0.959
0.295 0.656 0.951
0.505 0.848 0.959
0.135 0.844 0.378
0.534 0.243 0.378
0.333 0.046 0.379
0.344 0.295 0.639
0.152 0.111 0.657
0.546 0.505 0.657
0.564 0.941 0.299
0.358 0.735 0.299
0.436 0.059 0.701
0.642 0.265 0.701
0.656 0.705 0.361
0.454 0.495 0.343
0.667 0.954 0.621
0.466 0.757 0.622
0.705 0.344 0.049
0.495 0.152 0.041
```

Results
E_tot ... -121.3 eV/f.u.
E above lowest polymorph ... 3 meV/atom
Total moment ... 28.00 Bohr magnetons per cell
E (MP2020) ... -8.542 eV/atom

Entry 5:
Compound: Mn6O5F7
Source: the Materials Project
Functional: GGA+U
Structure: optimized geometry

```
Mn6O5F7
1.0
5.716 0.000 0.000
1.380 5.624 0.000
1.986 1.508 6.704
Mn O F
6 5 7
Direct
0.313 0.339 0.168
0.670 0.628 0.331
0.347 0.353 0.671
0.669 0.668 0.837
0.005 0.014 0.490
0.993 0.007 0.003
0.428 0.425 0.376
0.766 0.752 0.041
0.230 0.251 0.956
0.582 0.562 0.629
0.979 0.328 0.329
0.358 0.953 0.337
0.028 0.676 0.661
0.114 0.128 0.691
0.886 0.868 0.310
0.653 0.029 0.668
0.308 0.710 0.992
0.673 0.308 0.009
```

Results
E_tot ... -120.0 eV/f.u.
E above lowest polymorph ... 19 meV/atom
Total moment ... 25.00 Bohr magnetons per cell
E (MP2020) ... -7.595 eV/atom

Entry 6:
Compound: Ba3Li2V2Cl4O7
Source: the Materials Project
Functional: GGA+U
Structure: optimized geometry

```
Ba3Li2V2Cl4O7
1.0
2.941 8.171 0.000
-2.941 8.171 0.000
0.000 0.133 14.608
Ba Li V Cl O
6 4 4 8 14
Direct
0.136 0.136 0.274
0.866 0.866 0.280
0.864 0.864 0.726
0.500 0.500 0.500
0.134 0.134 0.720
0.500 0.500 0.000
0.000 0.500 0.500
0.302 0.302 0.883
0.698 0.698 0.117
0.500 0.000 0.500
0.504 0.504 0.252
0.689 0.689 0.873
0.496 0.496 0.748
0.311 0.311 0.127
0.998 0.998 0.116
0.315 0.315 0.380
0.117 0.117 0.499
0.002 0.002 0.884
0.883 0.883 0.501
0.311 0.311 0.620
0.689 0.689 0.380
0.685 0.685 0.620
0.736 0.270 0.323
0.270 0.736 0.323
0.413 0.413 0.179
0.588 0.588 0.182
0.264 0.730 0.677
0.506 0.977 0.834
0.023 0.494 0.166
0.587 0.587 0.821
0.412 0.412 0.818
0.494 0.023 0.166
0.669 0.669 0.988
0.730 0.264 0.677
0.331 0.331 0.012
0.977 0.506 0.834
```

Results
E_tot ... -108.9 eV/f.u.
Total moment ... 0.02 Bohr magnetons per cell
E (MP2020) ... -6.507 eV/atom